Entry 1:
A plane-wave DFT calculation with GGA-PBE was carried out for a relaxed LiSm2Br5 crystal.

Calculated values
Symmetry: C2/c, No. 15
Density, g/cm³: 5.28
VASP energy, eV per atom: -3.953
Spin magnetization, μB/atom: 0.000

Cell: 8.838 8.838 7.944 Å, 93.25 93.25 45.97°
Atoms (fractional coordinates):
Li  0.000  0.500  0.000
Li  0.500  0.000  0.500
Sm  0.111  0.737  0.426
Sm  0.263  0.889  0.074
Sm  0.737  0.111  0.926
Sm  0.889  0.263  0.574
Br  0.127  0.873  0.750
Br  0.152  0.263  0.336
Br  0.263  0.152  0.836
Br  0.310  0.510  0.093
Br  0.490  0.690  0.407
Br  0.510  0.310  0.593
Br  0.690  0.490  0.907
Br  0.737  0.848  0.164
Br  0.848  0.737  0.664
Br  0.873  0.127  0.250

***

Entry 2:
A plane-wave DFT calculation with GGA-PBE was carried out for a relaxed Tl3In2Se5 crystal.

Calculated values
Symmetry: Aem2, No. 39
Density, g/cm³: 6.93
VASP energy, eV per atom: -3.478
Spin magnetization, μB/atom: 0.000

Cell: 58.154 6.799 6.799 Å, 117.98 90.00 90.00°
Atoms (fractional coordinates):
Tl  0.000  0.000  0.000
Tl  0.000  0.500  0.500
Tl  0.050  0.250  0.750
Tl  0.100  0.000  0.000
Tl  0.100  0.500  0.500
Tl  0.150  0.750  0.250
Tl  0.200  0.000  0.000
Tl  0.200  0.500  0.500
Tl  0.300  0.000  0.000
Tl  0.300  0.500  0.500
Tl  0.400  0.000  0.000
Tl  0.400  0.500  0.500
Tl  0.500  0.000  0.000
Tl  0.500  0.500  0.500
Tl  0.600  0.000  0.000
Tl  0.600  0.500  0.500
Tl  0.700  0.000  0.000
Tl  0.700  0.500  0.500
Tl  0.800  0.000  0.000
Tl  0.800  0.500  0.500
Tl  0.850  0.250  0.750
Tl  0.900  0.000  0.000
Tl  0.900  0.500  0.500
Tl  0.950  0.750  0.250
In  0.050  0.750  0.250
In  0.150  0.250  0.750
In  0.250  0.250  0.750
In  0.250  0.750  0.250
In  0.350  0.250  0.750
In  0.350  0.750  0.250
In  0.450  0.250  0.750
In  0.450  0.750  0.250
In  0.550  0.250  0.750
In  0.550  0.750  0.250
In  0.650  0.250  0.750
In  0.650  0.750  0.250
In  0.750  0.250  0.750
In  0.750  0.750  0.250
In  0.850  0.750  0.250
In  0.950  0.250  0.750
Se  0.015  0.508  0.008
Se  0.050  0.167  0.316
Se  0.050  0.816  0.667
Se  0.085  0.508  0.008
Se  0.115  0.008  0.508
Se  0.150  0.316  0.167
Se  0.150  0.667  0.816
Se  0.185  0.009  0.509
Se  0.216  0.500  0.000
Se  0.250  0.171  0.329
Se  0.250  0.829  0.671
Se  0.284  0.500  0.000
Se  0.316  0.000  0.500
Se  0.350  0.329  0.171
Se  0.350  0.671  0.829
Se  0.384  0.000  0.500
Se  0.416  0.500  0.000
Se  0.450  0.171  0.329
Se  0.450  0.829  0.671
Se  0.484  0.500  0.000
Se  0.516  0.000  0.500
Se  0.550  0.329  0.171
Se  0.550  0.671  0.829
Se  0.584  0.000  0.500
Se  0.616  0.500  0.000
Se  0.650  0.171  0.329
Se  0.650  0.829  0.671
Se  0.684  0.500  0.000
Se  0.716  0.000  0.500
Se  0.750  0.329  0.171
Se  0.750  0.671  0.829
Se  0.784  0.000  0.500
Se  0.815  0.509  0.009
Se  0.850  0.167  0.316
Se  0.850  0.816  0.667
Se  0.885  0.508  0.008
Se  0.915  0.008  0.508
Se  0.950  0.316  0.167
Se  0.950  0.667  0.816
Se  0.985  0.008  0.508